The following is a DFT calculation (PBE-GGA) of crystalline TbPOs2C at its relaxed geometry.

Results
The calculation puts the energy relative to the elements at -47.4 kJ per mole of atoms. For the total moment, the calculation gives 0.01 μB per cell.

abc: 3.843 11.126 7.048
angles: 90.00 90.00 90.00
Space group Cmcm (No. 63)
Inequivalent atoms, fractional coordinates:
Tb: 0.000 0.045 0.250 (multiplicity 4)
P: 0.000 0.232 0.750 (multiplicity 4)
Os: 0.000 0.334 0.052 (multiplicity 8)
C: 0.000 0.500 0.000 (multiplicity 4)